Below is BaPbO3 after structural relaxation, with properties calculated at the PBE level.

Cell: 6.156 6.156 6.156 Å, 120.24 90.36 119.35°
Fractional positions:
Ba 0.257 0.007 0.250
Ba 0.743 0.993 0.750
Pb 0.000 0.500 0.500
Pb 0.500 0.500 0.000
O 0.179 0.429 0.750
O 0.290 0.000 0.790
O 0.290 0.500 0.290
O 0.710 0.000 0.210
O 0.710 0.500 0.710
O 0.821 0.571 0.250

Properties
Total energy after the MP2020 corrections (eV/cell): -62.0
Energy relative to the elements (eV/atom): -2.109
Volume (A^3/atom): 16.5
DFT total energy (eV per atom): -5.7918